No. 1
Here is a relaxed AlNi4As3 crystal from the Materials Project. Energies are from GGA-PBE.

Lattice parameters (Å, degrees): 3.6391 3.6391 9.9463 90.00 90.00 120.00
With the nearest neighbours (Å) after each atom.
Sites, in units of the cell vectors:
As1 0.3333 0.6667 0.7566  6 Ni 2.40-2.47
As2 0.3333 0.6667 0.2434  6 Ni 2.40-2.47
As3 0.6667 0.3333 0.5000  6 Ni 2.45
Al1 0.6667 0.3333 0.0000  6 Ni 2.45
Ni1 0.0000 0.0000 0.6259  6 As 2.45-2.47, 2 Ni 2.46-2.50
Ni2 0.0000 0.0000 0.8732  3 As 2.40, 3 Al 2.45, 2 Ni 2.46-2.52
Ni3 0.0000 0.0000 0.3741  6 As 2.45-2.47, 2 Ni 2.46-2.50
Ni4 0.0000 0.0000 0.1268  3 As 2.40, 3 Al 2.45, 2 Ni 2.46-2.52

spin magnetization	0.000	μB per atom
electronic total energy	-5.432	eV/atom
mass density	7.08	g cm⁻³
formation energy from the elements	-0.326	eV/atom
SG	P-6m2 (187)


No. 2
Here is a relaxed Al16As9O76 crystal from the Materials Project. Energies are from GGA-PBE.

Lattice parameters (Å, degrees): 15.7043 15.7043 15.7043 93.29 93.29 152.30
With the nearest neighbours (Å) after each atom.
Sites, in units of the cell vectors:
O1 0.8492 0.9220 0.3345  2 Al 1.82-1.83
O2 0.3176 0.7790 0.5546  2 O 1.48
O3 0.9629 0.9725 0.4823  1 As 1.76, 1 Al 1.97
O4 0.4342 0.0332 0.8424  2 Al 1.81-1.85
O5 0.9390 0.8452 0.0205  1 As 1.71, 1 Al 1.82
O6 0.5194 0.0371 0.0095  1 As 1.76, 1 Al 1.97
O7 0.7267 0.3520 0.9515  1 As 1.74, 1 Al 1.84
O8 0.2210 0.7756 0.5387  2 O 1.48
O9 0.7361 0.5594 0.5124  1 O 1.51
O10 0.8742 0.2544 0.5619  1 O 1.23
O11 0.3516 0.4290 0.9957  3 Al 1.93-2.12
O12 0.9756 0.9114 0.6468  1 As 1.71
O13 0.2264 0.2968 0.8111  1 As 1.70, 1 Al 1.82
O14 0.5206 0.9584 0.3506  1 O 1.23
O15 0.4363 0.5456 0.1856  1 As 1.70, 1 Al 1.90
O16 0.2248 0.2733 0.6253  1 As 1.74, 1 Al 1.84
O17 0.2646 0.3288 0.3532  1 As 1.71
O18 0.2244 0.7631 0.4454  2 O 1.48
O19 0.1945 0.1420 0.3734  1 Al 1.90, 1 O 2.08
O20 0.2135 0.4719 0.0999  1 As 1.77, 1 Al 1.83
O21 0.5875 0.5147 0.6655  2 Al 1.82-1.83
O22 0.8580 0.2314 0.0524  1 Al 1.90, 1 O 2.08
O23 0.5886 0.7095 0.4383  1 As 1.71, 1 Al 1.81
O24 0.2369 0.6824 0.4613  2 O 1.48
O25 0.4857 0.4153 0.1889  1 As 1.70, 1 Al 1.82
O26 0.1548 0.1753 0.0938  1 As 1.71, 1 Al 1.82
O27 0.4853 0.1508 0.0728  2 Al 1.82-1.83
O28 0.5710 0.5667 0.9226  3 Al 1.93-2.12
O29 0.3600 0.2507 0.8144  1 As 1.70, 1 Al 1.90
O30 0.5510 0.3668 0.4516  1 O 1.51
O31 0.2712 0.1502 0.5617  1 As 1.71, 1 Al 1.81
O32 0.5847 0.7736 0.0704  1 As 1.70, 1 Al 1.82
O33 0.7763 0.2639 0.8233  1 O 1.51
O34 0.4082 0.5658 0.5989  2 Al 1.81-1.85
O35 0.5985 0.3161 0.7828  1 As 1.74, 1 Al 1.80
O36 0.6877 0.1258 0.3802  1 O 1.23
O37 0.1907 0.5918 0.1576  2 Al 1.81-1.85
O38 0.7456 0.3075 0.6198  1 O 1.23
O39 0.6480 0.5995 0.3747  1 As 1.74, 1 Al 1.84
O40 0.0780 0.4125 0.9272  2 Al 1.82-1.83
O41 0.8498 0.4114 0.1209  1 As 1.71, 1 Al 1.81
O42 0.6712 0.0244 0.9358  1 As 1.71
O43 0.4005 0.7752 0.0485  1 As 1.74, 1 Al 1.84
O44 0.6839 0.4667 0.2824  1 As 1.74, 1 Al 1.80
O45 0.7580 0.0048 0.4051  1 Al 1.89
O46 0.1843 0.4015 0.7176  1 As 1.74, 1 Al 1.80
O47 0.6925 0.3123 0.4381  1 O 1.23
O48 0.8300 0.4794 0.4378  1 O 1.23
O49 0.9668 0.8093 0.4011  2 Al 1.81-1.85
O50 0.4902 0.4806 0.5177  1 As 1.76, 1 Al 1.97
O51 0.5281 0.6280 0.7416  1 As 1.77, 1 Al 1.83
O52 0.4406 0.9530 0.1767  1 O 1.51
O53 0.9952 0.4003 0.7532  1 Al 1.89
O54 0.7686 0.8211 0.6266  1 Al 1.90, 1 O 2.08
O55 0.3720 0.1136 0.9001  1 As 1.77, 1 Al 1.83
O56 0.6441 0.6484 0.0774  3 Al 1.93-2.12
O57 0.0815 0.0610 0.9062  1 As 1.71, 1 Al 1.82
O58 0.5997 0.3529 0.5949  1 Al 1.89
O59 0.8247 0.9185 0.9795  1 As 1.71, 1 Al 1.82
O60 0.9152 0.0994 0.5484  1 O 1.51
O61 0.0886 0.7354 0.0642  1 As 1.71
O62 0.8864 0.7865 0.2584  1 As 1.77, 1 Al 1.83
O63 0.4333 0.3559 0.0043  3 Al 1.93-2.12
O64 0.5333 0.8157 0.2172  1 As 1.74, 1 Al 1.80
O65 0.0275 0.5098 0.9905  1 As 1.76, 1 Al 1.97
O66 0.6078 0.1700 0.6494  1 O 1.23
O67 0.6471 0.2420 0.2468  1 Al 1.89
O68 0.7493 0.5637 0.1093  1 As 1.70, 1 Al 1.90
O69 0.9006 0.4490 0.8159  1 O 1.51
O70 0.6332 0.0848 0.1841  1 O 1.51
O71 0.2905 0.7288 0.8791  1 As 1.71, 1 Al 1.81
O72 0.0416 0.3922 0.5622  1 O 1.23
O73 0.7032 0.5143 0.9296  1 As 1.70, 1 Al 1.82
O74 0.4544 0.6400 0.8907  1 As 1.70, 1 Al 1.90
O75 0.1789 0.8055 0.9476  1 Al 1.90, 1 O 2.08
O76 0.0470 0.2237 0.4876  1 O 1.51
As1 0.1059 0.0732 0.5840  4 O 1.71-1.76
As2 0.0000 0.0000 0.0000  4 O 1.71
As3 0.4891 0.5219 0.4160  4 O 1.71-1.76
As4 0.9268 0.5109 0.0328  4 O 1.71-1.76
As5 0.6952 0.5502 0.2050  4 O 1.70-1.77
As6 0.5098 0.3048 0.8549  4 O 1.70-1.77
As7 0.3451 0.4902 0.7950  4 O 1.70-1.77
As8 0.4781 0.8941 0.9672  4 O 1.71-1.76
As9 0.4498 0.6549 0.1451  4 O 1.70-1.77
Al1 0.6119 0.1740 0.1274  6 O 1.81-1.97
Al2 0.0466 0.4846 0.8726  6 O 1.81-1.97
Al3 0.6611 0.2719 0.8318  5 O 1.80-1.93
Al4 0.3137 0.2982 0.8937  5 O 1.82-1.95
Al5 0.9340 0.8904 0.3641  5 O 1.83-1.98
Al6 0.4045 0.4200 0.1063  5 O 1.82-1.95
Al7 0.5263 0.5699 0.6359  5 O 1.83-1.98
Al8 0.4401 0.8293 0.1682  5 O 1.80-1.93
Al9 0.7281 0.5599 0.3892  5 O 1.80-1.93
Al10 0.1707 0.3389 0.6108  5 O 1.80-1.93
Al11 0.1096 0.4737 0.0436  5 O 1.83-1.98
Al12 0.5800 0.6863 0.9846  5 O 1.82-1.95
Al13 0.8260 0.9534 0.4379  6 O 1.81-1.97
Al14 0.7018 0.5955 0.0154  5 O 1.82-1.95
Al15 0.5154 0.3881 0.5621  6 O 1.81-1.97
Al16 0.4301 0.0660 0.9564  5 O 1.83-1.98

spin magnetization	0.342	μB per atom
electronic total energy	-5.816	eV/atom
mass density	2.21	g cm⁻³
formation energy from the elements	-1.084	eV/atom
SG	I-4 (82)


No. 3
Here is a relaxed RbAlAs2O7 crystal from the Materials Project. Energies are from GGA-PBE.

Lattice parameters (Å, degrees): 6.3550 6.4370 8.4143 96.84 104.00 102.58
With the nearest neighbours (Å) after each atom.
Sites, in units of the cell vectors:
O1 0.5808 0.0123 0.7720  1 As 1.69
O2 0.2219 0.6397 0.6599  2 As 1.80-1.82
O3 0.3264 0.3790 0.2224  1 As 1.71
O4 0.9088 0.3222 0.7286  1 As 1.70
O5 0.6635 0.7091 0.1872  1 As 1.70
O6 0.7781 0.3603 0.3401  2 As 1.80-1.82
O7 0.5313 0.7457 0.4660  1 As 1.69
O8 0.3365 0.2909 0.8128  1 As 1.70
O9 0.2260 0.6467 0.9940  1 As 1.69
O10 0.6736 0.6210 0.7776  1 As 1.71
O11 0.4687 0.2543 0.5340  1 As 1.69
O12 0.7740 0.3533 0.0060  1 As 1.69
O13 0.0912 0.6778 0.2714  1 As 1.70
O14 0.4192 0.9877 0.2280  1 As 1.69
As1 0.4919 0.2428 0.3369  4 O 1.69-1.80
As2 0.5081 0.7572 0.6631  4 O 1.69-1.80
As3 0.1778 0.4728 0.8145  4 O 1.69-1.82
As4 0.8222 0.5272 0.1855  4 O 1.69-1.82
Rb1 0.0000 0.0000 0.0000  6 O 2.91-2.94
Rb2 0.0000 0.0000 0.5000  8 O 2.91-3.23
Al1 0.6241 0.3153 0.7705  6 O 1.91-1.95
Al2 0.3759 0.6847 0.2295  6 O 1.91-1.95

electronic total energy	-6.204	eV/atom
mass density	3.88	g cm⁻³
formation energy from the elements	-2.216	eV/atom
SG	P-1 (2)


No. 4
Here is a relaxed Sr3Al2As4 crystal from the Materials Project. Energies are from GGA-PBE.

Lattice parameters (Å, degrees): 8.6189 8.6189 6.8909 89.77 89.77 75.52
With the nearest neighbours (Å) after each atom.
Sites, in units of the cell vectors:
Sr1 0.4017 0.5983 0.2500  6 As 3.10-3.26
Sr2 0.0070 0.7483 0.5383  5 As 3.09-3.39
Sr3 0.7483 0.0070 0.0383  5 As 3.09-3.39
Sr4 0.2517 0.9930 0.9617  5 As 3.09-3.39
Sr5 0.5983 0.4017 0.7500  6 As 3.10-3.26
Sr6 0.9930 0.2517 0.4617  5 As 3.09-3.39
As1 0.5760 0.7414 0.9263  2 Al 2.50
As2 0.7087 0.0595 0.5247  2 Al 2.53-2.56
As3 0.2913 0.9405 0.4753  2 Al 2.53-2.56
As4 0.4240 0.2586 0.0737  2 Al 2.50
As5 0.0595 0.7087 0.0247  2 Al 2.53-2.56
As6 0.2586 0.4240 0.5737  2 Al 2.50
As7 0.9405 0.2913 0.9753  2 Al 2.53-2.56
As8 0.7414 0.5760 0.4263  2 Al 2.50
Al1 0.4182 0.1717 0.4192  4 As 2.50-2.56
Al2 0.1717 0.4182 0.9192  4 As 2.50-2.56
Al3 0.8283 0.5818 0.0808  4 As 2.50-2.56
Al4 0.5818 0.8283 0.5808  4 As 2.50-2.56

electronic total energy	-4.432	eV/atom
mass density	4.13	g cm⁻³
formation energy from the elements	-0.966	eV/atom
SG	C2/c (15)


No. 5
Here is a relaxed Sr3AlAs3 crystal from the Materials Project. Energies are from GGA-PBE.

Lattice parameters (Å, degrees): 10.2065 10.2065 12.8068 90.00 90.00 142.01
With the nearest neighbours (Å) after each atom.
Sites, in units of the cell vectors:
As1 0.2916 0.2916 0.3979  2 Al 2.51
As2 0.3629 0.0457 0.1202  1 Al 2.50
As3 0.8629 0.5457 0.3798  1 Al 2.50
As4 0.6371 0.9543 0.8798  1 Al 2.50
As5 0.0457 0.3629 0.1202  1 Al 2.50
As6 0.7084 0.7084 0.6021  2 Al 2.51
As7 0.2084 0.2084 0.8979  2 Al 2.51
As8 0.1371 0.4543 0.6202  1 Al 2.50
As9 0.4543 0.1371 0.6202  1 Al 2.50
As10 0.5457 0.8629 0.3798  1 Al 2.50
As11 0.7916 0.7916 0.1021  2 Al 2.51
As12 0.9543 0.6371 0.8798  1 Al 2.50
Sr1 0.8244 0.8244 0.3495  5 As 3.17-3.33, 2 Al 3.32
Sr2 0.0109 0.3650 0.3691  6 As 3.18-3.51, 1 Al 3.21
Sr3 0.4891 0.1350 0.8691  6 As 3.18-3.51, 1 Al 3.21
Sr4 0.6350 0.9891 0.6309  6 As 3.18-3.51, 1 Al 3.21
Sr5 0.3650 0.0109 0.3691  6 As 3.18-3.51, 1 Al 3.21
Sr6 0.9891 0.6350 0.6309  6 As 3.18-3.51, 1 Al 3.21
Sr7 0.1350 0.4891 0.8691  6 As 3.18-3.51, 1 Al 3.21
Sr8 0.1756 0.1756 0.6505  5 As 3.17-3.33, 2 Al 3.32
Sr9 0.6756 0.6756 0.8495  5 As 3.17-3.33, 2 Al 3.32
Sr10 0.5109 0.8650 0.1309  6 As 3.18-3.51, 1 Al 3.21
Sr11 0.8650 0.5109 0.1309  6 As 3.18-3.51, 1 Al 3.21
Sr12 0.3244 0.3244 0.1505  5 As 3.17-3.33, 2 Al 3.32
Al1 0.4153 0.5847 0.5000  4 As 2.50-2.51
Al2 0.0847 0.9153 0.0000  4 As 2.50-2.51
Al3 0.5847 0.4153 0.5000  4 As 2.50-2.51
Al4 0.9153 0.0847 0.0000  4 As 2.50-2.51

electronic total energy	-4.316	eV/atom
mass density	4.16	g cm⁻³
formation energy from the elements	-1.060	eV/atom
SG	Cmce (64)